Density functional theory data (GGA-PBE) for a relaxed structure of Na24Mg10Ta2Si9S9O72.

Results
Total magnetization   0.001 μB per cell
Calculated volume   1602.7 Å³ per cell
E (MP2020)   -837.0 eV per formula unit
Uncorrected energy   -787.5 eV/cell

a b c (Å): 9.1225 9.1401 22.1535
angles (deg): 89.89 89.89 60.19
Space group P1 (No. 1)
Unique sites:
Na (0.0000, 0.0000, 0.0000) [1 per cell]
Na (0.0007, 0.6380, 0.4908) [1 per cell]
Na (0.0287, 0.3063, 0.5705) [1 per cell]
Na (0.0308, 0.9463, 0.3121) [1 per cell]
Na (0.0321, 0.6636, 0.8203) [1 per cell]
Na (0.0387, 0.3056, 0.0767) [1 per cell]
Na (0.0537, 0.9614, 0.6546) [1 per cell]
Na (0.0697, 0.6141, 0.1559) [1 per cell]
Na (0.3522, 0.3451, 0.6592) [1 per cell]
Na (0.3583, 0.9529, 0.1576) [1 per cell]
Na (0.3693, 0.0053, 0.4776) [1 per cell]
Na (0.3748, 0.2620, 0.9940) [1 per cell]
Na (0.3776, 0.6167, 0.7397) [1 per cell]
Na (0.3791, 0.6356, 0.2333) [1 per cell]
Na (0.4181, 0.9367, 0.8262) [1 per cell]
Na (0.4264, 0.2828, 0.3127) [1 per cell]
Na (0.6529, 0.3086, 0.8167) [1 per cell]
Na (0.6556, 0.6795, 0.3096) [1 per cell]
Na (0.6854, 0.3354, 0.1580) [1 per cell]
Na (0.6937, 0.9681, 0.9016) [1 per cell]
Na (0.6961, 0.9785, 0.3933) [1 per cell]
Na (0.6995, 0.6081, 0.6519) [1 per cell]
Na (0.7401, 0.6391, 0.9949) [1 per cell]
Na (0.7425, 0.2644, 0.4839) [1 per cell]
Mg (0.0398, 0.3111, 0.9189) [1 per cell]
Mg (0.0408, 0.2934, 0.4113) [1 per cell]
Mg (0.3723, 0.6364, 0.0967) [1 per cell]
Mg (0.3731, 0.6257, 0.5920) [1 per cell]
Mg (0.3782, 0.6239, 0.8843) [1 per cell]
Mg (0.3784, 0.6364, 0.3797) [1 per cell]
Mg (0.6965, 0.9771, 0.2517) [1 per cell]
Mg (0.7004, 0.9698, 0.0723) [1 per cell]
Mg (0.7059, 0.9717, 0.7561) [1 per cell]
Mg (0.7192, 0.9655, 0.5621) [1 per cell]
Ta (0.0261, 0.3214, 0.7213) [1 per cell]
Ta (0.0348, 0.2902, 0.2178) [1 per cell]
Si (0.3375, 0.0052, 0.3263) [1 per cell]
Si (0.3377, 0.2972, 0.8257) [1 per cell]
Si (0.4072, 0.2658, 0.1543) [1 per cell]
Si (0.7054, 0.2632, 0.6548) [1 per cell]
Si (0.7070, 0.6740, 0.1551) [1 per cell]
Si (0.7346, 0.6076, 0.8272) [1 per cell]
Si (0.7402, 0.2994, 0.3270) [1 per cell]
Si (0.9973, 0.9631, 0.1547) [1 per cell]
Si (0.9992, 0.6790, 0.6550) [1 per cell]
S (0.0383, 0.0131, 0.8234) [1 per cell]
S (0.0386, 0.5926, 0.3253) [1 per cell]
S (0.0795, 0.6365, 0.9864) [1 per cell]
S (0.0809, 0.9248, 0.4901) [1 per cell]
S (0.3678, 0.9278, 0.9861) [1 per cell]
S (0.3691, 0.3420, 0.4896) [1 per cell]
S (0.4089, 0.9710, 0.6539) [1 per cell]
S (0.6622, 0.6403, 0.4899) [1 per cell]
S (0.6673, 0.3395, 0.9866) [1 per cell]
O (0.0140, 0.1181, 0.8769) [1 per cell]
O (0.0143, 0.5139, 0.3807) [1 per cell]
O (0.0153, 0.1405, 0.1628) [1 per cell]
O (0.0250, 0.4781, 0.6627) [1 per cell]
O (0.0617, 0.0981, 0.4874) [1 per cell]
O (0.0616, 0.4802, 0.9841) [1 per cell]
O (0.0639, 0.0949, 0.7678) [1 per cell]
O (0.0645, 0.4849, 0.2713) [1 per cell]
O (0.1625, 0.6551, 0.9314) [1 per cell]
O (0.1635, 0.8212, 0.4362) [1 per cell]
O (0.1818, 0.6174, 0.0403) [1 per cell]
O (0.1834, 0.8436, 0.5449) [1 per cell]
O (0.1903, 0.6501, 0.6486) [1 per cell]
O (0.1901, 0.8105, 0.1474) [1 per cell]
O (0.1928, 0.8440, 0.8271) [1 per cell]
O (0.1936, 0.6070, 0.3306) [1 per cell]
O (0.2057, 0.1158, 0.2688) [1 per cell]
O (0.2083, 0.3167, 0.7654) [1 per cell]
O (0.2108, 0.0995, 0.9833) [1 per cell]
O (0.2106, 0.3287, 0.4870) [1 per cell]
O (0.2139, 0.2867, 0.1657) [1 per cell]
O (0.2353, 0.1238, 0.6604) [1 per cell]
O (0.2525, 0.2606, 0.8831) [1 per cell]
O (0.2582, 0.1212, 0.3863) [1 per cell]
O (0.3345, 0.8276, 0.3263) [1 per cell]
O (0.3371, 0.4766, 0.8240) [1 per cell]
O (0.3499, 0.4431, 0.5446) [1 per cell]
O (0.3502, 0.8439, 0.0402) [1 per cell]
O (0.3758, 0.4559, 0.1463) [1 per cell]
O (0.3862, 0.8211, 0.6467) [1 per cell]
O (0.3856, 0.8266, 0.9310) [1 per cell]
O (0.3916, 0.4239, 0.4358) [1 per cell]
O (0.4722, 0.1489, 0.0934) [1 per cell]
O (0.4850, 0.0015, 0.5999) [1 per cell]
O (0.5123, 0.9427, 0.7087) [1 per cell]
O (0.5197, 0.1680, 0.4945) [1 per cell]
O (0.5215, 0.9474, 0.9881) [1 per cell]
O (0.5242, 0.1339, 0.8165) [1 per cell]
O (0.5246, 0.1854, 0.2128) [1 per cell]
O (0.5260, 0.9784, 0.3188) [1 per cell]
O (0.5480, 0.6413, 0.1479) [1 per cell]
O (0.5506, 0.4589, 0.6490) [1 per cell]
O (0.5511, 0.6189, 0.8242) [1 per cell]
O (0.5538, 0.4695, 0.3256) [1 per cell]
O (0.5596, 0.6579, 0.4361) [1 per cell]
O (0.5651, 0.4223, 0.9316) [1 per cell]
O (0.5823, 0.6172, 0.5448) [1 per cell]
O (0.5871, 0.4433, 0.0402) [1 per cell]
O (0.6709, 0.1813, 0.7138) [1 per cell]
O (0.6751, 0.7892, 0.2139) [1 per cell]
O (0.6761, 0.7974, 0.4935) [1 per cell]
O (0.6830, 0.1682, 0.9893) [1 per cell]
O (0.7240, 0.7878, 0.8164) [1 per cell]
O (0.7328, 0.1267, 0.3192) [1 per cell]
O (0.7467, 0.1499, 0.5939) [1 per cell]
O (0.7538, 0.7408, 0.0933) [1 per cell]
O (0.8376, 0.4894, 0.4867) [1 per cell]
O (0.8392, 0.4751, 0.7656) [1 per cell]
O (0.8429, 0.3170, 0.9821) [1 per cell]
O (0.8458, 0.3271, 0.2688) [1 per cell]
O (0.8486, 0.2782, 0.3878) [1 per cell]
O (0.8564, 0.5117, 0.8830) [1 per cell]
O (0.8812, 0.7420, 0.5950) [1 per cell]
O (0.8820, 0.0145, 0.0939) [1 per cell]
O (0.8817, 0.4823, 0.1654) [1 per cell]
O (0.8868, 0.9952, 0.8173) [1 per cell]
O (0.8879, 0.7609, 0.3199) [1 per cell]
O (0.8892, 0.2714, 0.6638) [1 per cell]
O (0.9070, 0.7893, 0.9885) [1 per cell]
O (0.9080, 0.9421, 0.4936) [1 per cell]
O (0.9137, 0.7903, 0.7144) [1 per cell]
O (0.9170, 0.9311, 0.2145) [1 per cell]